(1)
DFT (PBE+U) results for a geometry-optimized KMgV5H16O22 structure. Values from VASP.

Geometry as Quantum ESPRESSO input:
```
&SYSTEM
  ibrav = 0, nat = 90, ntyp = 5
/
ATOMIC_SPECIES
K 39.10 K.upf
Mg 24.30 Mg.upf
V 50.94 V.upf
H 1.01 H.upf
O 16.00 O.upf
ATOMIC_POSITIONS angstrom
K -3.623 -4.984 -4.202
K -8.062 -14.763 1.418
Mg -2.449 -4.820 -0.511
Mg -9.235 -14.928 -2.274
V -5.256 -8.929 -0.192
V -6.428 -10.818 -2.593
V -6.798 -7.630 -2.718
V -4.886 -12.117 -0.067
V -3.988 -8.895 -3.171
V -7.696 -10.853 0.386
V -8.082 -7.702 0.161
V -3.602 -12.045 -2.946
V -2.433 -10.180 -0.668
V -9.251 -9.567 -2.117
H -2.973 -7.257 0.815
H -8.711 -12.491 -3.600
H -4.827 -10.623 -5.594
H -6.857 -9.125 2.809
H -2.637 -2.531 -1.971
H -9.047 -17.217 -0.814
H -1.308 -3.269 -2.480
H -10.376 -16.479 -0.305
H -3.252 -10.947 2.219
H -8.432 -8.801 -5.004
H -6.042 -14.172 -4.145
H -5.643 -5.575 1.360
H -0.398 -1.544 0.014
H -11.286 -18.203 -2.799
H -0.753 -11.021 2.450
H -10.931 -8.727 -5.235
H -9.566 -9.222 2.246
H -2.119 -10.526 -5.031
H -3.099 -8.287 -6.213
H -8.585 -11.461 3.428
H -4.688 -6.164 -1.436
H -6.996 -13.583 -1.349
H -5.086 -4.624 -1.150
H -6.599 -15.123 -1.635
H -1.984 -7.166 -1.808
H -9.701 -12.581 -0.977
H -0.813 -6.164 -2.253
H -10.871 -13.584 -0.532
H -5.597 -7.054 -6.316
H -6.088 -12.693 3.531
H -4.260 -3.761 1.083
H -7.425 -15.987 -3.868
O -6.426 -6.446 -3.794
O -5.258 -13.302 1.009
O -8.469 -8.263 -3.237
O -3.215 -11.485 0.452
O -5.005 -7.789 -1.788
O -6.679 -11.959 -0.997
O -3.580 -8.861 0.318
O -8.105 -10.886 -3.103
O -6.119 -7.737 0.715
O -5.566 -12.010 -3.500
O -7.037 -9.355 -1.187
O -4.647 -10.393 -1.598
O -3.624 -7.764 -4.310
O -8.061 -11.983 1.525
O -3.525 -10.455 -4.030
O -8.160 -9.293 1.245
O -2.493 -8.842 -2.069
O -9.191 -10.906 -0.716
O -7.459 -6.694 -1.286
O -4.226 -13.054 -1.499
O -2.121 -11.472 -1.983
O -9.563 -8.275 -0.802
O -8.717 -6.572 1.166
O -2.967 -13.176 -3.951
O -5.753 -10.494 0.781
O -5.931 -9.253 -3.566
O -0.961 -9.949 -0.009
O -10.724 -9.799 -2.776
O -2.720 -6.312 0.954
O -8.964 -13.435 -3.739
O -2.215 -3.409 -2.096
O -9.469 -16.339 -0.689
O -5.928 -15.140 -4.229
O -5.756 -4.607 1.444
O -3.750 -5.662 -6.871
O -7.934 -14.086 4.086
O -0.608 -4.362 0.330
O -11.076 -15.385 -3.115
O -4.344 -5.229 -1.364
O -7.340 -14.519 -1.421
O -1.724 -6.210 -1.849
O -9.960 -13.538 -0.936
O -3.427 -3.448 0.631
O -8.258 -16.299 -3.416
CELL_PARAMETERS angstrom
-2.563 -4.364 -7.415
0.736 -10.565 2.293
-9.857 -4.818 2.337
```

Computed properties:
symmetry: P-1, No. 2

---

(2)
DFT (PBE+U) results for a geometry-optimized KMnP2H5O9 structure. Values from VASP.

Geometry as Quantum ESPRESSO input:
```
&SYSTEM
  ibrav = 0, nat = 72, ntyp = 5
/
ATOMIC_SPECIES
K 39.10 K.upf
Mn 54.94 Mn.upf
P 30.97 P.upf
H 1.01 H.upf
O 16.00 O.upf
ATOMIC_POSITIONS angstrom
K 2.228 -0.767 -10.429
K 0.241 4.164 -4.253
K -0.276 -3.494 -7.967
K 1.711 -8.425 -14.142
Mn 6.005 -2.824 -12.469
Mn 0.206 1.352 -8.093
Mn -4.042 -1.366 -5.980
Mn 1.757 -5.541 -10.355
P 0.212 -1.039 -13.765
P -2.334 1.500 -5.853
P 2.115 -0.808 -6.437
P 3.920 -8.117 -10.778
P 1.822 -3.208 -4.655
P 4.329 -5.694 -12.505
P -0.236 -3.409 -11.976
P -2.002 3.847 -7.697
H 0.114 -7.237 -11.607
H -1.421 -0.940 -6.268
H 1.651 1.768 -5.883
H 3.590 -1.926 -13.171
H 1.862 3.056 -6.874
H 3.377 -3.215 -12.182
H 0.307 -5.922 -12.565
H -1.612 -2.254 -5.309
H 3.061 -4.891 -7.925
H -0.663 0.938 -3.559
H -1.287 -0.519 -9.610
H 2.825 -3.845 -15.849
H -1.089 0.704 -10.584
H 2.596 -5.074 -14.890
H 3.251 -3.611 -8.824
H -0.823 -0.336 -2.645
H 4.513 1.488 -10.269
H -2.074 -2.606 -10.478
H 4.361 -6.655 -14.554
H -1.922 5.537 -6.194
O 0.322 -1.914 -12.408
O -2.807 2.791 -6.771
O 1.638 -2.298 -6.023
O 4.766 -7.003 -11.660
O 0.772 -6.665 -12.088
O -1.817 -1.854 -6.196
O 1.195 2.501 -6.379
O 3.784 -2.311 -12.271
O 0.224 -6.160 -8.877
O -3.650 0.768 -5.614
O 1.354 -0.507 -7.716
O 5.989 -2.533 -14.650
O 1.756 1.953 -9.535
O 5.636 -4.983 -12.808
O 0.584 -3.717 -10.729
O -4.058 -1.684 -3.785
O 2.638 -4.373 -8.652
O -0.195 0.390 -2.875
O -0.669 0.221 -9.824
O 2.163 -4.542 -15.601
O 0.433 -1.917 -14.978
O -1.297 0.719 -6.653
O 1.906 0.151 -5.285
O 2.879 -7.362 -9.959
O 1.581 -2.295 -3.458
O 3.287 -4.900 -11.746
O 0.002 -4.348 -13.154
O -0.948 3.134 -8.516
O 4.724 0.695 -10.981
O -1.734 2.081 -4.549
O -2.329 -2.099 -9.552
O 3.261 -9.078 -11.798
O -2.732 -4.941 -7.513
O 3.659 -6.237 -13.839
O 4.259 -2.056 -8.833
O -1.264 4.833 -6.695
CELL_PARAMETERS angstrom
-6.004 -1.190 -2.835
0.971 6.260 -4.686
6.994 -9.263 -10.925
```

Computed properties:
symmetry: Pna2_1, No. 33

---

(3)
DFT (PBE+U) results for a geometry-optimized K2MnP4H8O16 structure. Values from VASP.

Geometry as Quantum ESPRESSO input:
```
&SYSTEM
  ibrav = 0, nat = 124, ntyp = 5
/
ATOMIC_SPECIES
K 39.10 K.upf
Mn 54.94 Mn.upf
P 30.97 P.upf
H 1.01 H.upf
O 16.00 O.upf
ATOMIC_POSITIONS angstrom
K 0.551 8.489 8.117
K 2.442 8.489 1.783
K 2.498 2.830 8.524
K 4.389 2.830 1.377
K 5.492 8.489 12.104
K 7.383 8.489 4.957
K 7.439 2.830 11.697
K 9.330 2.830 5.364
Mn 1.641 8.489 11.617
Mn 3.300 2.830 4.877
Mn 6.582 8.489 8.604
Mn 8.240 2.830 1.864
P 0.574 0.211 10.473
P 0.574 5.448 10.473
P 2.446 5.858 5.973
P 2.446 11.119 5.973
P 2.495 0.199 12.713
P 2.495 5.460 12.713
P 4.366 5.870 3.733
P 4.366 11.107 3.733
P 5.515 0.211 9.748
P 5.515 5.448 9.748
P 7.387 5.858 0.768
P 7.387 11.119 0.768
P 7.435 0.199 7.508
P 7.435 5.460 7.508
P 9.307 11.107 3.007
P 9.307 5.870 3.007
H 0.411 2.035 0.184
H 0.411 3.624 0.184
H 0.406 6.591 5.371
H 0.406 10.387 5.371
H 0.992 5.884 1.432
H 0.992 11.093 1.432
H 1.329 3.597 2.930
H 1.329 2.063 2.930
H 3.612 7.722 9.670
H 3.612 9.256 9.670
H 3.948 0.225 8.172
H 3.948 5.434 8.172
H 4.534 0.931 12.111
H 4.534 4.728 12.111
H 4.529 7.694 6.924
H 4.529 9.283 6.924
H 5.352 2.035 6.557
H 5.352 3.624 6.557
H 5.347 6.591 1.369
H 5.347 10.387 1.369
H 5.933 5.884 5.308
H 5.933 11.093 5.308
H 6.269 2.063 3.811
H 6.269 3.597 3.811
H 8.552 7.722 10.551
H 8.552 9.256 10.551
H 8.889 0.225 12.049
H 8.889 5.434 12.049
H 9.475 0.931 8.110
H 9.475 4.728 8.110
H 9.470 7.694 13.297
H 9.470 9.283 13.297
O 0.185 8.489 13.269
O 0.496 6.972 10.514
O 0.496 10.005 10.514
O 0.651 6.471 2.220
O 0.651 10.507 2.220
O 0.691 0.858 9.116
O 0.691 4.801 9.116
O 1.143 6.723 6.100
O 1.143 10.255 6.100
O 1.518 0.630 0.313
O 1.518 5.029 0.313
O 1.940 2.830 3.039
O 1.905 0.697 11.271
O 1.905 4.962 11.271
O 2.144 1.289 5.881
O 2.144 4.370 5.881
O 2.796 6.948 12.621
O 2.796 10.030 12.621
O 3.036 6.356 4.531
O 3.036 10.622 4.531
O 3.001 8.489 9.779
O 3.422 6.289 7.053
O 3.422 10.688 7.053
O 3.798 1.063 12.840
O 3.798 4.596 12.840
O 4.250 6.517 2.376
O 4.250 10.460 2.376
O 4.289 4.848 8.960
O 4.289 0.811 8.960
O 4.445 1.313 3.774
O 4.445 4.346 3.774
O 4.755 2.830 6.529
O 5.126 8.489 6.952
O 5.436 6.972 9.707
O 5.436 10.005 9.707
O 5.592 6.471 4.520
O 5.592 10.507 4.520
O 5.631 0.858 11.105
O 5.631 4.801 11.105
O 6.083 6.723 0.640
O 6.083 10.255 0.640
O 6.459 0.630 6.428
O 6.459 5.029 6.428
O 6.881 2.830 3.702
O 6.845 0.697 8.950
O 6.845 4.962 8.950
O 7.085 1.289 0.860
O 7.085 4.370 0.860
O 7.737 6.948 7.600
O 7.737 10.030 7.600
O 7.976 6.356 2.209
O 7.976 10.622 2.209
O 7.941 8.489 10.442
O 8.363 6.289 13.168
O 8.363 10.688 13.168
O 8.739 1.063 7.381
O 8.739 4.596 7.381
O 9.190 6.517 4.364
O 9.190 10.460 4.364
O 9.230 0.811 11.261
O 9.230 4.848 11.261
O 9.386 1.313 2.967
O 9.386 4.346 2.967
O 9.696 2.830 0.212
CELL_PARAMETERS angstrom
9.881 0.000 0.000
0.000 11.318 0.000
0.000 0.000 13.481
```

Computed properties:
symmetry: Pnma, No. 62

---

(4)
DFT (PBE+U) results for a geometry-optimized KMnPH2O5 structure. Values from VASP.

Geometry as Quantum ESPRESSO input:
```
&SYSTEM
  ibrav = 0, nat = 40, ntyp = 5
/
ATOMIC_SPECIES
K 39.10 K.upf
Mn 54.94 Mn.upf
P 30.97 P.upf
H 1.01 H.upf
O 16.00 O.upf
ATOMIC_POSITIONS angstrom
K 4.293 4.427 5.636
K 7.901 1.954 1.893
K 4.782 1.030 3.925
K 7.948 4.760 4.510
Mn 2.961 6.685 2.858
Mn 6.793 -0.428 6.824
Mn 6.569 4.212 -0.884
Mn 9.958 3.303 7.408
P 7.199 5.115 7.979
P 10.807 2.643 4.236
P 2.132 0.645 1.627
P 5.297 4.375 2.212
H 5.982 1.034 -0.554
H 2.373 3.506 3.188
H 7.017 2.323 6.431
H 10.183 6.053 7.016
H 4.998 1.709 0.466
H 1.390 4.181 4.208
H 11.167 5.377 5.994
H 8.001 1.647 5.410
O 5.159 0.870 -0.032
O 1.550 3.342 3.710
O 10.245 5.327 6.347
O 7.079 1.597 5.763
O 2.966 1.943 1.575
O 6.132 5.673 2.159
O 11.912 3.641 4.642
O 8.304 6.113 8.384
O 8.973 7.175 3.902
O 5.807 3.445 3.318
O 6.370 5.671 6.814
O 9.978 3.198 3.072
O 1.725 6.121 4.542
O 5.330 3.649 0.801
O 6.277 4.785 9.228
O 9.885 2.312 5.485
O 3.763 4.722 2.425
O 7.371 2.249 -1.318
O 7.841 3.713 7.605
O 11.449 1.241 3.862
CELL_PARAMETERS angstrom
6.774 1.258 -3.158
-0.442 6.203 4.327
6.919 -0.444 6.957
```

Computed properties:
maximum piezoelectric response: 0.45 C/m²

---

(5)
DFT (PBE+U) results for a geometry-optimized K4Mn3P6H8O24 structure. Values from VASP.

Geometry as Quantum ESPRESSO input:
```
&SYSTEM
  ibrav = 0, nat = 90, ntyp = 5
/
ATOMIC_SPECIES
K 39.10 K.upf
Mn 54.94 Mn.upf
P 30.97 P.upf
H 1.01 H.upf
O 16.00 O.upf
ATOMIC_POSITIONS angstrom
K 0.049 12.472 16.366
K 3.283 8.413 7.154
K 6.616 4.702 2.058
K 3.382 8.761 11.269
K 6.584 8.700 3.375
K 3.414 12.759 12.586
K 0.081 8.474 15.049
K 3.252 4.415 5.837
Mn 3.333 4.528 0.000
Mn 0.000 8.587 9.212
Mn 4.500 1.270 0.100
Mn 5.499 5.329 9.312
Mn 2.166 15.905 18.323
Mn 1.167 11.846 9.112
P 3.864 10.589 15.616
P 6.135 6.530 6.404
P 2.802 6.586 2.808
P 0.531 10.645 12.019
P 4.029 2.349 2.799
P 5.969 6.408 12.010
P 2.636 14.826 15.624
P 0.696 10.767 6.413
P 1.113 1.908 0.263
P 2.220 5.967 9.475
P 5.553 15.267 18.160
P 4.446 11.208 8.948
H 1.481 2.099 2.430
H 1.852 6.158 11.641
H 5.185 15.075 15.994
H 4.814 11.016 6.782
H 5.479 2.374 4.537
H 4.520 6.433 13.749
H 1.187 14.800 13.886
H 2.146 10.741 4.674
H 2.035 10.582 14.301
H 1.298 6.523 5.090
H 4.630 6.593 4.122
H 5.368 10.652 13.333
H 3.307 8.326 15.757
H 0.026 4.267 6.545
H 3.359 8.849 2.667
H 6.639 12.908 11.878
O 1.501 3.373 0.020
O 1.832 7.432 9.232
O 5.165 13.802 18.403
O 4.834 9.743 9.191
O 4.347 9.912 2.507
O 5.652 13.971 11.718
O 2.319 7.262 15.916
O 1.014 3.203 6.705
O 0.720 1.789 1.829
O 2.613 5.848 11.041
O 5.946 15.385 16.594
O 4.053 11.326 7.382
O 4.120 11.112 17.032
O 5.878 7.053 7.820
O 2.545 6.062 1.391
O 0.787 10.121 10.603
O 6.519 9.619 17.917
O 3.479 5.560 8.705
O 0.147 7.556 0.507
O 3.186 11.615 9.718
O 4.834 11.179 14.591
O 5.165 7.120 5.379
O 1.832 5.996 3.833
O 1.501 10.055 13.044
O 2.646 2.539 3.454
O 0.687 6.598 12.666
O 4.020 14.636 14.969
O 5.978 10.577 5.757
O 5.123 2.970 3.786
O 4.875 7.029 12.997
O 1.542 14.205 14.638
O 1.791 10.146 5.426
O 4.201 3.112 1.470
O 5.797 7.171 10.681
O 2.465 14.063 16.954
O 0.868 10.004 7.742
O 2.354 10.896 15.246
O 0.979 6.837 6.034
O 4.312 6.279 3.177
O 5.687 10.338 12.389
O 4.374 16.251 18.417
O 5.625 12.192 9.205
O 2.292 0.924 0.006
O 1.041 4.983 9.218
O 4.084 9.022 15.614
O 5.915 4.963 6.402
O 2.582 8.153 2.809
O 0.751 12.212 12.021
CELL_PARAMETERS angstrom
6.666 0.000 0.000
0.000 9.057 0.000
0.000 8.118 18.423
```

Computed properties:
symmetry: P2_1/c, No. 14

---

| no. | formation energy (eV/f.u.) | electronic total energy (eV/atom) |
| --- | --- | --- |
| 1 | -81.25 | -5.9757 |
| 2 | -37.52 | -6.2369 |
| 3 | -66.35 | -6.2268 |
| 4 | -21.88 | -6.3988 |
| 5 | -103.33 | -6.4919 |